No. 1
{"formula": "Ba2V2CuBrO8", "functional": "PBE+U", "state": "relaxed", "cell": [[15.1806, 0.0000, 0.0000], [0.0000, 6.2494, 0.0000], [0.0000, 0.0000, 9.7988]], "species": ["Ba", "Ba", "Ba", "Ba", "Ba", "Ba", "Ba", "Ba", "V", "V", "V", "V", "V", "V", "V", "V", "Cu", "Cu", "Cu", "Cu", "Br", "Br", "Br", "Br", "O", "O", "O", "O", "O", "O", "O", "O", "O", "O", "O", "O", "O", "O", "O", "O", "O", "O", "O", "O", "O", "O", "O", "O", "O", "O", "O", "O", "O", "O", "O", "O"], "frac_coords": [[0.0322, 0.2500, 0.1419], [0.2474, 0.7500, 0.9623], [0.2526, 0.2500, 0.4623], [0.4678, 0.7500, 0.6419], [0.5322, 0.2500, 0.3581], [0.7474, 0.7500, 0.5377], [0.7526, 0.2500, 0.0377], [0.9678, 0.7500, 0.8581], [0.1312, 0.7500, 0.2890], [0.1315, 0.2500, 0.7925], [0.3685, 0.7500, 0.2925], [0.3688, 0.2500, 0.7890], [0.6312, 0.7500, 0.2110], [0.6315, 0.2500, 0.7075], [0.8685, 0.7500, 0.2075], [0.8688, 0.2500, 0.7110], [0.0000, 0.0000, 0.5000], [0.0000, 0.5000, 0.5000], [0.5000, 0.0000, 0.0000], [0.5000, 0.5000, 0.0000], [0.2499, 0.2500, 0.1188], [0.2501, 0.7500, 0.6188], [0.7499, 0.2500, 0.3812], [0.7501, 0.7500, 0.8812], [0.0340, 0.7500, 0.5826], [0.0869, 0.2500, 0.6329], [0.0893, 0.7500, 0.1296], [0.0986, 0.5124, 0.3694], [0.0986, 0.9876, 0.3694], [0.1017, 0.0264, 0.8837], [0.1017, 0.4736, 0.8837], [0.2483, 0.7500, 0.2617], [0.2517, 0.2500, 0.7617], [0.3983, 0.5264, 0.3837], [0.3983, 0.9736, 0.3837], [0.4014, 0.0124, 0.8694], [0.4014, 0.4876, 0.8694], [0.4107, 0.2500, 0.6296], [0.4131, 0.7500, 0.1329], [0.4660, 0.2500, 0.0826], [0.5340, 0.7500, 0.9174], [0.5869, 0.2500, 0.8671], [0.5893, 0.7500, 0.3704], [0.5986, 0.5124, 0.1306], [0.5986, 0.9876, 0.1306], [0.6017, 0.0264, 0.6163], [0.6017, 0.4736, 0.6163], [0.7483, 0.7500, 0.2383], [0.7517, 0.2500, 0.7383], [0.8983, 0.5264, 0.1163], [0.8983, 0.9736, 0.1163], [0.9014, 0.0124, 0.6306], [0.9014, 0.4876, 0.6306], [0.9107, 0.2500, 0.8704], [0.9131, 0.7500, 0.3671], [0.9660, 0.2500, 0.4174]], "e_form_mev_per_atom": -2377.4, "volume_a3_per_atom": 16.60, "e_tot_ev_per_atom": -6.551, "m_tot_mub_per_cell": 0.000}

No. 2
{"formula": "FePH4NO4F", "functional": "PBE+U", "state": "relaxed", "cell": [[13.1370, 0.0000, 0.0000], [0.0000, 6.5148, 0.0000], [0.0000, 0.0000, 10.8211]], "species": ["Fe", "Fe", "Fe", "Fe", "Fe", "Fe", "Fe", "Fe", "P", "P", "P", "P", "P", "P", "P", "P", "H", "H", "H", "H", "H", "H", "H", "H", "H", "H", "H", "H", "H", "H", "H", "H", "H", "H", "H", "H", "H", "H", "H", "H", "H", "H", "H", "H", "H", "H", "H", "H", "N", "N", "N", "N", "N", "N", "N", "N", "O", "O", "O", "O", "O", "O", "O", "O", "O", "O", "O", "O", "O", "O", "O", "O", "O", "O", "O", "O", "O", "O", "O", "O", "O", "O", "O", "O", "O", "O", "O", "O", "F", "F", "F", "F", "F", "F", "F", "F"], "frac_coords": [[0.1134, 0.0118, 0.0000], [0.2493, 0.7479, 0.7519], [0.2507, 0.2479, 0.2519], [0.3866, 0.5118, 0.5000], [0.6135, 0.4882, 0.0000], [0.7493, 0.7521, 0.7519], [0.7507, 0.2521, 0.2519], [0.8866, 0.9882, 0.5000], [0.0034, 0.8306, 0.7477], [0.1843, 0.5011, 0.0041], [0.3157, 0.0011, 0.5041], [0.4966, 0.3306, 0.2477], [0.5034, 0.6694, 0.7477], [0.6843, 0.9989, 0.0041], [0.8157, 0.4989, 0.5041], [0.9966, 0.1694, 0.2477], [0.0189, 0.3339, 0.5401], [0.0500, 0.8059, 0.3346], [0.1000, 0.5608, 0.3140], [0.1074, 0.4557, 0.6274], [0.1138, 0.1964, 0.6037], [0.1171, 0.7388, 0.2074], [0.1416, 0.3567, 0.4890], [0.1758, 0.7712, 0.3433], [0.3242, 0.2712, 0.8433], [0.3584, 0.8567, 0.9890], [0.3829, 0.2388, 0.7074], [0.3862, 0.6964, 0.1037], [0.3926, 0.9557, 0.1274], [0.4000, 0.0608, 0.8140], [0.4500, 0.3059, 0.8346], [0.4811, 0.8339, 0.0401], [0.5189, 0.1661, 0.5401], [0.5500, 0.6941, 0.3346], [0.6000, 0.9392, 0.3140], [0.6074, 0.0443, 0.6274], [0.6138, 0.3036, 0.6037], [0.6171, 0.7612, 0.2074], [0.6416, 0.1433, 0.4890], [0.6758, 0.7288, 0.3433], [0.8242, 0.2288, 0.8433], [0.8584, 0.6433, 0.9890], [0.8829, 0.2612, 0.7074], [0.8862, 0.8036, 0.1037], [0.8926, 0.5443, 0.1274], [0.9000, 0.4392, 0.8140], [0.9500, 0.1941, 0.8346], [0.9811, 0.6661, 0.0401], [0.0958, 0.3366, 0.5651], [0.1105, 0.7174, 0.3020], [0.3895, 0.2174, 0.8020], [0.4042, 0.8366, 0.0651], [0.5958, 0.1634, 0.5651], [0.6105, 0.7826, 0.3020], [0.8895, 0.2826, 0.8020], [0.9042, 0.6634, 0.0651], [0.0108, 0.0296, 0.1330], [0.0208, 0.9749, 0.8609], [0.0943, 0.2976, 0.2715], [0.0974, 0.6893, 0.7313], [0.1154, 0.6924, 0.0316], [0.1160, 0.3131, 0.9763], [0.2453, 0.0457, 0.3919], [0.2468, 0.9594, 0.6186], [0.2532, 0.4594, 0.1186], [0.2547, 0.5457, 0.8919], [0.3840, 0.8131, 0.4763], [0.3846, 0.1924, 0.5316], [0.4026, 0.1893, 0.2313], [0.4057, 0.7976, 0.7715], [0.4792, 0.4749, 0.3609], [0.4892, 0.5296, 0.6330], [0.5108, 0.4704, 0.1330], [0.5208, 0.5251, 0.8609], [0.5943, 0.2024, 0.2715], [0.5974, 0.8107, 0.7313], [0.6154, 0.8076, 0.0316], [0.6160, 0.1869, 0.9763], [0.7453, 0.4543, 0.3919], [0.7468, 0.5406, 0.6186], [0.7532, 0.0406, 0.1186], [0.7547, 0.9543, 0.8919], [0.8840, 0.6869, 0.4763], [0.8846, 0.3076, 0.5316], [0.9026, 0.3107, 0.2313], [0.9057, 0.7024, 0.7715], [0.9792, 0.0251, 0.3609], [0.9892, 0.9704, 0.6330], [0.2232, 0.0262, 0.1314], [0.2325, 0.9650, 0.8825], [0.2675, 0.4650, 0.3825], [0.2768, 0.5262, 0.6314], [0.7232, 0.4738, 0.1314], [0.7325, 0.5350, 0.8825], [0.7675, 0.0350, 0.3825], [0.7768, 0.9738, 0.6314]], "e_form_mev_per_atom": -1522.7, "volume_a3_per_atom": 9.65, "e_tot_ev_per_atom": -5.859, "m_tot_mub_per_cell": 0.000}

No. 3
{"formula": "MgV4O7F5", "functional": "PBE+U", "state": "relaxed", "cell": [[5.1887, 0.0000, 0.0000], [0.4017, 5.4333, 0.0000], [0.0919, 0.5202, 7.3916]], "species": ["Mg", "V", "V", "V", "V", "O", "O", "O", "O", "O", "O", "O", "F", "F", "F", "F", "F"], "frac_coords": [[0.0000, 0.0000, 0.0000], [0.0039, 0.5825, 0.7733], [0.5019, 0.1074, 0.7925], [0.5152, 0.1158, 0.2817], [0.9326, 0.5774, 0.2991], [0.0813, 0.6003, 0.5521], [0.1889, 0.2696, 0.8589], [0.6204, 0.1166, 0.0561], [0.6987, 0.8063, 0.3497], [0.7823, 0.9030, 0.7725], [0.7931, 0.3062, 0.3490], [0.9261, 0.6244, 0.0634], [0.1945, 0.9558, 0.2283], [0.2856, 0.8001, 0.8529], [0.2975, 0.4265, 0.2650], [0.3926, 0.1073, 0.5408], [0.6827, 0.4116, 0.7490]], "e_above_lowest_polymorph_ev_per_atom": 0.014, "e_form_mev_per_atom": -2709.0, "volume_a3_per_atom": 12.26, "e_tot_ev_per_atom": -6.722, "m_tot_mub_per_cell": 3.000}

No. 4
{"formula": "CsCrH24Se2O20", "functional": "PBE+U", "state": "relaxed", "cell": [[12.7116, 0.0000, 0.0000], [0.0000, 12.7116, 0.0000], [0.0000, 0.0000, 12.7116]], "species": ["Cs", "Cs", "Cs", "Cs", "Cr", "Cr", "Cr", "Cr", "H", "H", "H", "H", "H", "H", "H", "H", "H", "H", "H", "H", "H", "H", "H", "H", "H", "H", "H", "H", "H", "H", "H", "H", "H", "H", "H", "H", "H", "H", "H", "H", "H", "H", "H", "H", "H", "H", "H", "H", "H", "H", "H", "H", "H", "H", "H", "H", "H", "H", "H", "H", "H", "H", "H", "H", "H", "H", "H", "H", "H", "H", "H", "H", "H", "H", "H", "H", "H", "H", "H", "H", "H", "H", "H", "H", "H", "H", "H", "H", "H", "H", "H", "H", "H", "H", "H", "H", "H", "H", "H", "H", "H", "H", "H", "H", "Se", "Se", "Se", "Se", "Se", "Se", "Se", "Se", "O", "O", "O", "O", "O", "O", "O", "O", "O", "O", "O", "O", "O", "O", "O", "O", "O", "O", "O", "O", "O", "O", "O", "O", "O", "O", "O", "O", "O", "O", "O", "O", "O", "O", "O", "O", "O", "O", "O", "O", "O", "O", "O", "O", "O", "O", "O", "O", "O", "O", "O", "O", "O", "O", "O", "O", "O", "O", "O", "O", "O", "O", "O", "O", "O", "O", "O", "O", "O", "O", "O", "O", "O", "O", "O", "O", "O", "O", "O", "O"], "frac_coords": [[0.0000, 0.2500, 0.0000], [0.0000, 0.7500, 0.5000], [0.5000, 0.2500, 0.5000], [0.5000, 0.7500, 0.0000], [0.0000, 0.2503, 0.4998], [0.0000, 0.7497, 0.9998], [0.5002, 0.2502, 0.9996], [0.5002, 0.7498, 0.4996], [0.0017, 0.0467, 0.2251], [0.0017, 0.9533, 0.7251], [0.0233, 0.1982, 0.2939], [0.0233, 0.8018, 0.7939], [0.0298, 0.3260, 0.3073], [0.0298, 0.6740, 0.8073], [0.0518, 0.0439, 0.4767], [0.0518, 0.9561, 0.9767], [0.0760, 0.4427, 0.5298], [0.0760, 0.5573, 0.0298], [0.1187, 0.0830, 0.2156], [0.1187, 0.9170, 0.7156], [0.1670, 0.0344, 0.8813], [0.1670, 0.9656, 0.3813], [0.1927, 0.2202, 0.5760], [0.1927, 0.7798, 0.0760], [0.2033, 0.0249, 0.9984], [0.2033, 0.9751, 0.4984], [0.2061, 0.2267, 0.4482], [0.2061, 0.7733, 0.9482], [0.2156, 0.3687, 0.8330], [0.2156, 0.6313, 0.3330], [0.2251, 0.2517, 0.7967], [0.2251, 0.7483, 0.2967], [0.2749, 0.2483, 0.2967], [0.2749, 0.7517, 0.7967], [0.2844, 0.1313, 0.3330], [0.2844, 0.8687, 0.8330], [0.2939, 0.2733, 0.9482], [0.2939, 0.7267, 0.4482], [0.2967, 0.4751, 0.4984], [0.2967, 0.5249, 0.9984], [0.3073, 0.2798, 0.0760], [0.3073, 0.7202, 0.5760], [0.3330, 0.4656, 0.3813], [0.3330, 0.5344, 0.8813], [0.3813, 0.4170, 0.7156], [0.3813, 0.5830, 0.2156], [0.4240, 0.0573, 0.0298], [0.4240, 0.9427, 0.5298], [0.4482, 0.4561, 0.9767], [0.4482, 0.5439, 0.4767], [0.4702, 0.1740, 0.8073], [0.4702, 0.8260, 0.3073], [0.4767, 0.3019, 0.7939], [0.4767, 0.6981, 0.2939], [0.4984, 0.4533, 0.7251], [0.4984, 0.5467, 0.2251], [0.5017, 0.0467, 0.2749], [0.5017, 0.9533, 0.7749], [0.5233, 0.1982, 0.2061], [0.5233, 0.8018, 0.7061], [0.5298, 0.3260, 0.1927], [0.5298, 0.6740, 0.6927], [0.5518, 0.0439, 0.0233], [0.5518, 0.9561, 0.5233], [0.5760, 0.4427, 0.9702], [0.5760, 0.5573, 0.4702], [0.6187, 0.0830, 0.2844], [0.6187, 0.9170, 0.7844], [0.6670, 0.0344, 0.6187], [0.6670, 0.9656, 0.1187], [0.6927, 0.2202, 0.9240], [0.6927, 0.7798, 0.4240], [0.7033, 0.0249, 0.5017], [0.7033, 0.9751, 0.0017], [0.7061, 0.2267, 0.0518], [0.7061, 0.7733, 0.5518], [0.7156, 0.3687, 0.6670], [0.7156, 0.6313, 0.1670], [0.7251, 0.2517, 0.7033], [0.7251, 0.7483, 0.2033], [0.7749, 0.2483, 0.2033], [0.7749, 0.7517, 0.7033], [0.7844, 0.1313, 0.1670], [0.7844, 0.8687, 0.6670], [0.7939, 0.2733, 0.5518], [0.7939, 0.7267, 0.0518], [0.7967, 0.4751, 0.0017], [0.7967, 0.5249, 0.5017], [0.8073, 0.2798, 0.4240], [0.8073, 0.7202, 0.9240], [0.8330, 0.4656, 0.1187], [0.8330, 0.5344, 0.6187], [0.8813, 0.4170, 0.7844], [0.8813, 0.5830, 0.2844], [0.9240, 0.0573, 0.4702], [0.9240, 0.9427, 0.9702], [0.9482, 0.4561, 0.5233], [0.9482, 0.5439, 0.0233], [0.9702, 0.1740, 0.6927], [0.9702, 0.8260, 0.1927], [0.9767, 0.3018, 0.7061], [0.9767, 0.6982, 0.2061], [0.9984, 0.4533, 0.7749], [0.9984, 0.5467, 0.2749], [0.1853, 0.4353, 0.1853], [0.1853, 0.5647, 0.6853], [0.3147, 0.0647, 0.6853], [0.3147, 0.9353, 0.1853], [0.6853, 0.4353, 0.3147], [0.6853, 0.5647, 0.8147], [0.8147, 0.0647, 0.8147], [0.8147, 0.9353, 0.3147], [0.0046, 0.2596, 0.3422], [0.0046, 0.7404, 0.8422], [0.0096, 0.4078, 0.5046], [0.0096, 0.5922, 0.0046], [0.0458, 0.1097, 0.2101], [0.0458, 0.8903, 0.7101], [0.0630, 0.4294, 0.2346], [0.0630, 0.5706, 0.7346], [0.1404, 0.0399, 0.9542], [0.1404, 0.9601, 0.4542], [0.1578, 0.2454, 0.5096], [0.1578, 0.7546, 0.0096], [0.1794, 0.4846, 0.0630], [0.1794, 0.5154, 0.5630], [0.2101, 0.2958, 0.8596], [0.2101, 0.7042, 0.3597], [0.2346, 0.3130, 0.1794], [0.2346, 0.6870, 0.6794], [0.2383, 0.0117, 0.2617], [0.2383, 0.9883, 0.7617], [0.2617, 0.4883, 0.7617], [0.2617, 0.5117, 0.2617], [0.2654, 0.1870, 0.6794], [0.2654, 0.8130, 0.1794], [0.2899, 0.2042, 0.3596], [0.2899, 0.7958, 0.8596], [0.3206, 0.0154, 0.5630], [0.3206, 0.9846, 0.0630], [0.3422, 0.2546, 0.0096], [0.3422, 0.7454, 0.5096], [0.3597, 0.4601, 0.4542], [0.3597, 0.5399, 0.9542], [0.4370, 0.0706, 0.7346], [0.4370, 0.9294, 0.2346], [0.4542, 0.3904, 0.7101], [0.4542, 0.6096, 0.2101], [0.4904, 0.0922, 0.0046], [0.4904, 0.9078, 0.5046], [0.4954, 0.2404, 0.8421], [0.4954, 0.7596, 0.3421], [0.5046, 0.2596, 0.1578], [0.5046, 0.7404, 0.6578], [0.5096, 0.4078, 0.9954], [0.5096, 0.5922, 0.4954], [0.5458, 0.1096, 0.2899], [0.5458, 0.8904, 0.7899], [0.5630, 0.4294, 0.2654], [0.5630, 0.5706, 0.7654], [0.6404, 0.0399, 0.5458], [0.6404, 0.9601, 0.0458], [0.6578, 0.2454, 0.9904], [0.6578, 0.7546, 0.4904], [0.6794, 0.4846, 0.4370], [0.6794, 0.5154, 0.9370], [0.7101, 0.2958, 0.6404], [0.7101, 0.7042, 0.1404], [0.7346, 0.3130, 0.3206], [0.7346, 0.6870, 0.8206], [0.7383, 0.0117, 0.2383], [0.7383, 0.9883, 0.7383], [0.7617, 0.4883, 0.7383], [0.7617, 0.5117, 0.2383], [0.7654, 0.1870, 0.8206], [0.7654, 0.8130, 0.3206], [0.7899, 0.2042, 0.1404], [0.7899, 0.7958, 0.6404], [0.8206, 0.0154, 0.9370], [0.8206, 0.9846, 0.4370], [0.8422, 0.2546, 0.4904], [0.8422, 0.7454, 0.9904], [0.8596, 0.4601, 0.0458], [0.8596, 0.5399, 0.5458], [0.9370, 0.0706, 0.7654], [0.9370, 0.9294, 0.2654], [0.9542, 0.3903, 0.7899], [0.9542, 0.6096, 0.2899], [0.9904, 0.0922, 0.4954], [0.9904, 0.9078, 0.9954], [0.9954, 0.2404, 0.6578], [0.9954, 0.7596, 0.1578]], "e_form_mev_per_atom": -1358.1, "volume_a3_per_atom": 10.70, "e_tot_ev_per_atom": -5.154, "m_tot_mub_per_cell": 12.000}

No. 5
{"formula": "SrNdMn4O12", "functional": "PBE+U", "state": "relaxed", "cell": [[5.3771, 0.0000, 0.0000], [0.0000, 5.3771, 0.0000], [0.0000, 0.0000, 7.6003]], "species": ["Sr", "Nd", "Mn", "Mn", "Mn", "Mn", "O", "O", "O", "O", "O", "O", "O", "O", "O", "O", "O", "O"], "frac_coords": [[0.0000, 0.0000, 0.0000], [0.5000, 0.5000, 0.5000], [0.0000, 0.5000, 0.2484], [0.0000, 0.5000, 0.7516], [0.5000, 0.0000, 0.2484], [0.5000, 0.0000, 0.7516], [0.0000, 0.5000, 0.0000], [0.0000, 0.5000, 0.5000], [0.2570, 0.2570, 0.2600], [0.2570, 0.2570, 0.7400], [0.2570, 0.7430, 0.2600], [0.2570, 0.7430, 0.7400], [0.5000, 0.0000, 0.0000], [0.5000, 0.0000, 0.5000], [0.7430, 0.2570, 0.2600], [0.7430, 0.2570, 0.7400], [0.7430, 0.7430, 0.2600], [0.7430, 0.7430, 0.7400]], "e_form_mev_per_atom": -1914.4, "volume_a3_per_atom": 12.21, "e_tot_ev_per_atom": -6.779, "m_tot_mub_per_cell": 15.057}

No. 6
{"formula": "UMo5O16", "functional": "PBE+U", "state": "relaxed", "cell": [[7.3635, 0.0000, 0.0000], [0.0000, 4.1214, 0.0000], [-0.1612, 0.0000, 10.0627]], "species": ["U", "Mo", "Mo", "Mo", "Mo", "Mo", "O", "O", "O", "O", "O", "O", "O", "O", "O", "O", "O", "O", "O", "O", "O", "O"], "frac_coords": [[0.0000, 0.0000, 0.0000], [0.2415, 0.0944, 0.6866], [0.2540, 0.9174, 0.3207], [0.5000, 0.0928, 0.0000], [0.7460, 0.9174, 0.6793], [0.7585, 0.0944, 0.3134], [0.0000, 0.4999, 0.0000], [0.0064, 0.0019, 0.2432], [0.1866, 0.9982, 0.4926], [0.2407, 0.5164, 0.6803], [0.2499, 0.4946, 0.3152], [0.2838, 0.0134, 0.8786], [0.2861, 0.0024, 0.1197], [0.4993, 0.9938, 0.3446], [0.5000, 0.5168, 0.0000], [0.5007, 0.9938, 0.6554], [0.7139, 0.0024, 0.8803], [0.7162, 0.0134, 0.1214], [0.7501, 0.4946, 0.6848], [0.7593, 0.5164, 0.3197], [0.8134, 0.9982, 0.5074], [0.9936, 0.0019, 0.7568]], "e_above_lowest_polymorph_ev_per_atom": 0.000, "e_form_mev_per_atom": -2231.5, "volume_a3_per_atom": 13.88, "e_tot_ev_per_atom": -7.581, "m_tot_mub_per_cell": 3.999}